(1)
# GGA-PBE Ba4LiGe4O12, relaxed
data_Ba4LiGe4O12
_space_group_name_H-M_alt 'P 1'
_space_group_IT_number 1
_space_group_name_Hall 'P 1'
_cell_length_a 4.809
_cell_length_b 5.856
_cell_length_c 13.007
_cell_angle_alpha 88.37
_cell_angle_beta 88.76
_cell_angle_gamma 89.33
loop_
_atom_site_label
_atom_site_type_symbol
_atom_site_fract_x
_atom_site_fract_y
_atom_site_fract_z
Ba1 Ba 0.000 0.000 0.000
Ba2 Ba 0.005 0.567 0.477
Ba3 Ba 0.459 0.074 0.273
Ba4 Ba 0.513 0.458 0.754
Li1 Li 0.544 0.984 0.847
Ge1 Ge 0.037 0.927 0.696
Ge2 Ge 0.446 0.487 0.021
Ge3 Ge 0.547 0.064 0.552
Ge4 Ge 0.931 0.550 0.190
O1 O 0.000 0.629 0.695
O2 O 0.005 0.361 0.294
O3 O 0.068 0.470 0.061
O4 O 0.415 0.978 0.685
O5 O 0.466 0.720 0.928
O6 O 0.476 0.873 0.455
O7 O 0.486 0.222 0.953
O8 O 0.489 0.357 0.533
O9 O 0.564 0.498 0.161
O10 O 0.913 0.081 0.800
O11 O 0.924 0.041 0.572
O12 O 0.979 0.847 0.206
# - total magnetic moment (μB per cell) = 0.00

(2)
# GGA-PBE Ba4LiGe4O12, relaxed
data_Ba4LiGe4O12
_space_group_name_H-M_alt 'P 1'
_space_group_IT_number 1
_space_group_name_Hall 'P 1'
_cell_length_a 4.715
_cell_length_b 5.942
_cell_length_c 13.010
_cell_angle_alpha 88.33
_cell_angle_beta 89.42
_cell_angle_gamma 89.30
loop_
_atom_site_label
_atom_site_type_symbol
_atom_site_fract_x
_atom_site_fract_y
_atom_site_fract_z
Ba1 Ba 0.000 0.000 0.000
Ba2 Ba 0.044 0.668 0.488
Ba3 Ba 0.494 0.119 0.287
Ba4 Ba 0.559 0.489 0.793
Li1 Li 0.103 0.334 0.666
Ge1 Ge 0.059 0.926 0.738
Ge2 Ge 0.453 0.508 0.071
Ge3 Ge 0.566 0.081 0.583
Ge4 Ge 0.947 0.604 0.224
O1 O 0.005 0.885 0.254
O2 O 0.012 0.634 0.691
O3 O 0.013 0.398 0.319
O4 O 0.029 0.201 0.810
O5 O 0.071 0.543 0.095
O6 O 0.447 0.951 0.704
O7 O 0.456 0.364 0.578
O8 O 0.508 0.218 0.056
O9 O 0.519 0.918 0.473
O10 O 0.530 0.702 0.973
O11 O 0.566 0.584 0.199
O12 O 0.945 0.067 0.608
# - total magnetic moment (μB per cell) = 1.00

It is (2) that is the least stable of them.

(1)
Ba3H12Ir2: relaxed, GGA-PBE.

CIF file:
```
data_Ba3H12Ir2
_space_group_name_H-M_alt 'P -3 m 1'
_space_group_IT_number 164
_space_group_name_Hall '-P 3 2"'
_cell_length_a 5.5346
_cell_length_b 5.5346
_cell_length_c 8.9382
_cell_angle_alpha 90.00
_cell_angle_beta 90.00
_cell_angle_gamma 120.00
loop_
_atom_site_label
_atom_site_type_symbol
_atom_site_fract_x
_atom_site_fract_y
_atom_site_fract_z
Ba1 Ba 0.0000 0.0000 0.0000
Ba2 Ba 0.3333 0.6667 0.6426
H1 H 0.0548 0.5274 0.1277
H2 H 0.1874 0.3748 0.3486
Ir1 Ir 0.3333 0.6667 0.2410
```

(2)
# GGA-PBE Ba3H12Ir2, relaxed
data_Ba3H12Ir2
_space_group_name_H-M_alt 'C 1 2/m 1'
_space_group_IT_number 12
_space_group_name_Hall '-C 2y'
_cell_length_a 13.284
_cell_length_b 8.067
_cell_length_c 5.304
_cell_angle_alpha 90.00
_cell_angle_beta 97.50
_cell_angle_gamma 90.00
loop_
_atom_site_label
_atom_site_type_symbol
_atom_site_fract_x
_atom_site_fract_y
_atom_site_fract_z
Ba1 Ba 0.000 0.000 0.000
Ba2 Ba 0.213 0.500 0.289
H1 H 0.086 0.500 0.767
H2 H 0.096 0.000 0.610
H3 H 0.160 0.312 0.771
H4 H 0.194 0.133 0.195
Ir1 Ir 0.209 0.500 0.787
# - total magnetic moment (μB per cell) = 0.00

It is (2) that is the least stable of them.

(1)
# GGA-PBE BaH18O10, relaxed
data_BaH18O10
_space_group_name_H-M_alt 'P 1 21/c 1'
_space_group_IT_number 14
_space_group_name_Hall '-P 2ybc'
_cell_length_a 9.248
_cell_length_b 10.909
_cell_length_c 15.017
_cell_angle_alpha 90.00
_cell_angle_beta 118.99
_cell_angle_gamma 90.00
loop_
_atom_site_label
_atom_site_type_symbol
_atom_site_fract_x
_atom_site_fract_y
_atom_site_fract_z
Ba1 Ba 0.248 0.223 0.223
H1 H 0.009 0.631 0.129
H2 H 0.039 0.571 0.897
H3 H 0.040 0.614 0.093
H4 H 0.094 0.502 0.374
H5 H 0.094 0.594 0.299
H6 H 0.101 0.198 0.878
H7 H 0.185 0.709 0.610
H8 H 0.208 0.025 0.382
H9 H 0.229 0.684 0.664
H10 H 0.277 0.236 0.963
H11 H 0.278 0.627 0.067
H12 H 0.285 0.513 0.909
H13 H 0.290 0.585 0.552
H14 H 0.324 0.732 0.870
H15 H 0.326 0.640 0.419
H16 H 0.332 0.571 0.087
H17 H 0.459 0.531 0.579
H18 H 0.497 0.206 0.122
O1 O 0.019 0.537 0.307
O2 O 0.022 0.743 0.923
O3 O 0.043 0.115 0.593
O4 O 0.214 0.210 0.891
O5 O 0.305 0.679 0.354
O6 O 0.351 0.548 0.521
O7 O 0.405 0.232 0.597
O8 O 0.417 0.513 0.757
O9 O 0.471 0.040 0.767
O10 O 0.493 0.130 0.585
# - total magnetic moment (μB per cell) = 0.01

(2)
# GGA-PBE BaH18O10, relaxed
data_BaH18O10
_space_group_name_H-M_alt 'P 1 21/c 1'
_space_group_IT_number 14
_space_group_name_Hall '-P 2ybc'
_cell_length_a 9.307
_cell_length_b 10.225
_cell_length_c 15.709
_cell_angle_alpha 90.00
_cell_angle_beta 119.88
_cell_angle_gamma 90.00
loop_
_atom_site_label
_atom_site_type_symbol
_atom_site_fract_x
_atom_site_fract_y
_atom_site_fract_z
Ba1 Ba 0.241 0.201 0.218
H1 H 0.029 0.612 0.089
H2 H 0.052 0.044 0.829
H3 H 0.055 0.597 0.142
H4 H 0.062 0.597 0.930
H5 H 0.102 0.228 0.381
H6 H 0.103 0.588 0.304
H7 H 0.139 0.671 0.616
H8 H 0.195 0.657 0.670
H9 H 0.202 0.641 0.498
H10 H 0.224 0.508 0.874
H11 H 0.266 0.203 0.950
H12 H 0.300 0.001 0.424
H13 H 0.318 0.636 0.422
H14 H 0.318 0.736 0.865
H15 H 0.320 0.651 0.072
H16 H 0.350 0.581 0.083
H17 H 0.378 0.580 0.578
H18 H 0.496 0.680 0.376
O1 O 0.004 0.532 0.285
O2 O 0.020 0.718 0.442
O3 O 0.029 0.142 0.568
O4 O 0.184 0.214 0.880
O5 O 0.294 0.580 0.508
O6 O 0.301 0.669 0.356
O7 O 0.401 0.235 0.102
O8 O 0.457 0.526 0.755
O9 O 0.460 0.141 0.593
O10 O 0.475 0.082 0.790
# - total magnetic moment (μB per cell) = 8.00

It is (1) that is the least stable of them.

(1)
# GGA-PBE BaH2O3, relaxed
data_BaH2O3
_space_group_name_H-M_alt 'P 1 21/m 1'
_space_group_IT_number 11
_space_group_name_Hall '-P 2yb'
_cell_length_a 6.245
_cell_length_b 4.010
_cell_length_c 6.979
_cell_angle_alpha 90.00
_cell_angle_beta 109.22
_cell_angle_gamma 90.00
loop_
_atom_site_label
_atom_site_type_symbol
_atom_site_fract_x
_atom_site_fract_y
_atom_site_fract_z
Ba1 Ba 0.146 0.250 0.293
H1 H 0.266 0.250 0.837
H2 H 0.369 0.750 0.058
O1 O 0.169 0.250 0.694
O2 O 0.213 0.750 0.056
O3 O 0.350 0.750 0.617
# - total magnetic moment (μB per cell) = 4.00

(2)
# GGA-PBE BaH2O3, relaxed
data_BaH2O3
_space_group_name_H-M_alt 'P m c 21'
_space_group_IT_number 26
_space_group_name_Hall 'P 2c -2'
_cell_length_a 4.024
_cell_length_b 6.146
_cell_length_c 6.773
_cell_angle_alpha 90.00
_cell_angle_beta 90.00
_cell_angle_gamma 90.00
loop_
_atom_site_label
_atom_site_type_symbol
_atom_site_fract_x
_atom_site_fract_y
_atom_site_fract_z
Ba1 Ba 0.000 0.164 0.000
H1 H 0.206 0.368 0.555
O1 O 0.000 0.283 0.601
O2 O 0.500 0.057 0.277
O3 O 0.500 0.471 0.996
# - total magnetic moment (μB per cell) = 4.00

It is (2) that is the least stable of them.